# 1
# TmGaNi2

A relaxed structure of TmGaNi2 (PBE, the Materials Project database).

abc: 4.399 4.399 4.399
angles: 60.00 60.00 60.00
Positions (direct):
Tm 0.000 0.000 0.000
Ga 0.500 0.500 0.500
Ni 0.250 0.250 0.250
Ni 0.750 0.750 0.750

Summary:
The calculation puts the formation enthalpy at 0 K at -0.4774 eV/atom. The volume comes out at 60.2 Å³ per cell. As for the energy: -5.243 eV/atom.

=====

# 2
# Dy2Ti12Cu9O36

A relaxed structure of Dy2Ti12Cu9O36 (PBE, the Materials Project database).

abc: 10.521 10.521 6.462
angles: 90.00 90.00 120.00
Positions (direct):
Dy 0.333 0.667 0.329
Dy 0.667 0.333 0.671
Ti 0.000 0.000 0.500
Ti 0.000 0.500 0.500
Ti 0.158 0.319 0.163
Ti 0.161 0.842 0.163
Ti 0.319 0.161 0.837
Ti 0.333 0.667 0.841
Ti 0.500 0.000 0.500
Ti 0.500 0.500 0.500
Ti 0.667 0.333 0.159
Ti 0.681 0.839 0.163
Ti 0.839 0.158 0.837
Ti 0.842 0.681 0.837
Cu 0.000 0.500 0.000
Cu 0.168 0.831 0.662
Cu 0.169 0.337 0.662
Cu 0.337 0.168 0.338
Cu 0.500 0.000 0.000
Cu 0.500 0.500 0.000
Cu 0.663 0.832 0.662
Cu 0.831 0.663 0.338
Cu 0.832 0.169 0.338
O 0.017 0.165 0.330
O 0.045 0.270 0.911
O 0.077 0.451 0.251
O 0.118 0.707 0.413
O 0.148 0.983 0.330
O 0.165 0.148 0.670
O 0.177 0.527 0.646
O 0.193 0.683 0.018
O 0.225 0.955 0.911
O 0.270 0.225 0.089
O 0.293 0.411 0.413
O 0.317 0.510 0.018
O 0.350 0.823 0.646
O 0.374 0.923 0.251
O 0.411 0.118 0.587
O 0.451 0.374 0.749
O 0.473 0.650 0.646
O 0.490 0.807 0.018
O 0.510 0.193 0.982
O 0.527 0.350 0.354
O 0.549 0.626 0.251
O 0.589 0.882 0.413
O 0.626 0.077 0.749
O 0.650 0.177 0.354
O 0.683 0.490 0.982
O 0.707 0.589 0.587
O 0.730 0.775 0.911
O 0.775 0.045 0.089
O 0.807 0.317 0.982
O 0.823 0.473 0.354
O 0.835 0.852 0.330
O 0.852 0.017 0.670
O 0.882 0.293 0.587
O 0.923 0.549 0.749
O 0.955 0.730 0.089
O 0.983 0.835 0.670

Summary:
The calculation puts the formation enthalpy at 0 K at -2.7202 eV/atom. The volume comes out at 619.4 Å³ per cell. As for the energy: -7.707 eV/atom.

=====

# 3
# SnHgO3

A relaxed structure of SnHgO3 (PBE, the Materials Project database).

abc: 4.081 4.081 4.081
angles: 90.00 90.00 90.00
Positions (direct):
Sn 0.000 0.000 0.000
Hg 0.500 0.500 0.500
O 0.000 0.000 0.500
O 0.000 0.500 0.000
O 0.500 0.000 0.000

Summary:
The calculation puts the formation enthalpy at 0 K at -1.1809 eV/atom. The volume comes out at 68.0 Å³ per cell. As for the energy: -4.600 eV/atom.

=====

# 4
# CaMnFeGe2

A relaxed structure of CaMnFeGe2 (PBE, the Materials Project database).

abc: 6.201 6.201 6.201
angles: 142.98 142.98 53.35
Positions (direct):
Ca 0.000 0.000 0.000
Mn 0.250 0.750 0.500
Fe 0.750 0.250 0.500
Ge 0.378 0.378 0.000
Ge 0.622 0.622 0.000

Summary:
The calculation puts the formation enthalpy at 0 K at -0.3419 eV/atom. The volume comes out at 85.9 Å³ per cell. As for the energy: -6.119 eV/atom.

=====

# 5
# Pr3CuSnS7

A relaxed structure of Pr3CuSnS7 (PBE, the Materials Project database).

abc: 10.228 10.228 6.142
angles: 90.00 90.00 120.00
Positions (direct):
Pr 0.139 0.782 0.000
Pr 0.218 0.357 0.000
Pr 0.357 0.139 0.500
Pr 0.643 0.861 0.000
Pr 0.782 0.643 0.500
Pr 0.861 0.218 0.500
Cu 0.000 0.000 0.446
Cu 0.000 0.000 0.946
Sn 0.333 0.667 0.572
Sn 0.667 0.333 0.072
S 0.088 0.518 0.742
S 0.101 0.848 0.460
S 0.152 0.254 0.460
S 0.254 0.101 0.960
S 0.333 0.667 0.184
S 0.429 0.912 0.742
S 0.482 0.571 0.742
S 0.518 0.429 0.242
S 0.571 0.088 0.242
S 0.667 0.333 0.684
S 0.746 0.899 0.460
S 0.848 0.746 0.960
S 0.899 0.152 0.960
S 0.912 0.482 0.242

Summary:
The calculation puts the formation enthalpy at 0 K at -1.7342 eV/atom. The volume comes out at 556.4 Å³ per cell. As for the energy: -5.725 eV/atom.

=====

# 6
# CuPtO2

A relaxed structure of CuPtO2 (PBE, the Materials Project database).

abc: 5.287 4.299 4.312
angles: 90.00 90.00 90.00
Positions (direct):
Cu 0.000 0.000 0.000
Cu 0.500 0.000 0.500
Pt 0.000 0.500 0.500
Pt 0.500 0.500 0.000
O 0.250 0.238 0.250
O 0.250 0.762 0.750
O 0.750 0.238 0.250
O 0.750 0.762 0.750

Summary:
The calculation puts the formation enthalpy at 0 K at -0.8324 eV/atom. The volume comes out at 98.0 Å³ per cell. As for the energy: -5.505 eV/atom.

=====

# 7
# Ba2NdMgRuO6

A relaxed structure of Ba2NdMgRuO6 (PBE, the Materials Project database).

abc: 6.811 6.811 6.811
angles: 51.84 51.84 51.84
Positions (direct):
Ba 0.000 0.000 0.000
Ba 0.419 0.419 0.419
Nd 0.208 0.208 0.208
Mg 0.827 0.827 0.827
Ru 0.686 0.686 0.686
O 0.449 0.935 0.935
O 0.463 0.463 0.942
O 0.463 0.942 0.463
O 0.935 0.449 0.935
O 0.935 0.935 0.449
O 0.942 0.463 0.463

Summary:
The calculation puts the formation enthalpy at 0 K at -2.4761 eV/atom. The energy above the most stable polymorph in this dataset is 0 meV/atom. The volume comes out at 180.5 Å³ per cell. As for the energy: -6.571 eV/atom.

=====

# 8
# AlPO4

A relaxed structure of AlPO4 (PBE, the Materials Project database).

abc: 5.161 5.161 11.361
angles: 90.00 90.00 120.00
Positions (direct):
Al 0.000 0.500 0.333
Al 0.500 0.000 0.000
Al 0.500 0.500 0.667
P 0.000 0.500 0.833
P 0.500 0.000 0.500
P 0.500 0.500 0.167
O 0.194 0.420 0.756
O 0.194 0.774 0.911
O 0.226 0.420 0.244
O 0.226 0.806 0.423
O 0.420 0.194 0.577
O 0.420 0.226 0.089
O 0.580 0.774 0.089
O 0.580 0.806 0.577
O 0.774 0.194 0.423
O 0.774 0.580 0.244
O 0.806 0.226 0.911
O 0.806 0.580 0.756

Summary:
The calculation puts the formation enthalpy at 0 K at -3.1081 eV/atom. The volume comes out at 262.0 Å³ per cell. As for the largest piezoelectric modulus: 0.1 C/m². As for the energy: -7.475 eV/atom.

=====

# 9
# ErThFe14B

A relaxed structure of ErThFe14B (PBE, the Materials Project database).

abc: 8.749 8.749 11.996
angles: 90.00 90.00 90.00
Positions (direct):
Er 0.146 0.146 0.000
Er 0.354 0.646 0.500
Er 0.646 0.354 0.500
Er 0.854 0.854 0.000
Th 0.234 0.234 0.500
Th 0.266 0.734 0.000
Th 0.734 0.266 0.000
Th 0.766 0.766 0.500
Fe 0.000 0.000 0.382
Fe 0.000 0.000 0.618
Fe 0.000 0.500 0.000
Fe 0.000 0.500 0.500
Fe 0.037 0.641 0.175
Fe 0.037 0.641 0.825
Fe 0.068 0.725 0.372
Fe 0.068 0.725 0.628
Fe 0.097 0.903 0.199
Fe 0.097 0.903 0.801
Fe 0.141 0.463 0.325
Fe 0.141 0.463 0.675
Fe 0.182 0.182 0.252
Fe 0.182 0.182 0.748
Fe 0.225 0.432 0.128
Fe 0.225 0.432 0.872
Fe 0.275 0.932 0.372
Fe 0.275 0.932 0.628
Fe 0.318 0.682 0.248
Fe 0.318 0.682 0.752
Fe 0.359 0.963 0.175
Fe 0.359 0.963 0.825
Fe 0.403 0.403 0.301
Fe 0.403 0.403 0.699
Fe 0.432 0.225 0.128
Fe 0.432 0.225 0.872
Fe 0.463 0.141 0.325
Fe 0.463 0.141 0.675
Fe 0.500 0.000 0.000
Fe 0.500 0.000 0.500
Fe 0.500 0.500 0.118
Fe 0.500 0.500 0.882
Fe 0.537 0.859 0.325
Fe 0.537 0.859 0.675
Fe 0.568 0.775 0.128
Fe 0.568 0.775 0.872
Fe 0.597 0.597 0.301
Fe 0.597 0.597 0.699
Fe 0.641 0.037 0.175
Fe 0.641 0.037 0.825
Fe 0.682 0.318 0.248
Fe 0.682 0.318 0.752
Fe 0.725 0.068 0.372
Fe 0.725 0.068 0.628
Fe 0.775 0.568 0.128
Fe 0.775 0.568 0.872
Fe 0.818 0.818 0.252
Fe 0.818 0.818 0.748
Fe 0.859 0.537 0.325
Fe 0.859 0.537 0.675
Fe 0.903 0.097 0.199
Fe 0.903 0.097 0.801
Fe 0.932 0.275 0.372
Fe 0.932 0.275 0.628
Fe 0.963 0.359 0.175
Fe 0.963 0.359 0.825
B 0.123 0.877 0.500
B 0.377 0.377 0.000
B 0.623 0.623 0.000
B 0.877 0.123 0.500

Summary:
The calculation puts the formation enthalpy at 0 K at -0.1071 eV/atom. The volume comes out at 918.2 Å³ per cell. As for the energy: -8.180 eV/atom.

=====

# 10
# Mg16Al12Te

A relaxed structure of Mg16Al12Te (PBE, the Materials Project database).

abc: 9.107 9.107 9.107
angles: 108.81 108.81 108.81
Positions (direct):
Mg 0.000 0.000 0.000
Mg 0.280 0.590 0.590
Mg 0.301 0.301 0.695
Mg 0.301 0.695 0.301
Mg 0.388 0.664 0.984
Mg 0.388 0.984 0.664
Mg 0.590 0.280 0.590
Mg 0.590 0.590 0.280
Mg 0.640 0.988 0.988
Mg 0.664 0.388 0.984
Mg 0.664 0.984 0.388
Mg 0.695 0.301 0.301
Mg 0.984 0.388 0.664
Mg 0.984 0.664 0.388
Mg 0.988 0.640 0.988
Mg 0.988 0.988 0.640
Al 0.163 0.351 0.976
Al 0.163 0.976 0.351
Al 0.172 0.802 0.802
Al 0.351 0.163 0.976
Al 0.351 0.976 0.163
Al 0.630 0.630 0.820
Al 0.630 0.820 0.630
Al 0.802 0.172 0.802
Al 0.802 0.802 0.172
Al 0.820 0.630 0.630
Al 0.976 0.163 0.351
Al 0.976 0.351 0.163
Te 0.348 0.348 0.348

Summary:
The calculation puts the formation enthalpy at 0 K at -0.0281 eV/atom. The energy above the most stable polymorph in this dataset is 0 meV/atom. The volume comes out at 595.2 Å³ per cell. As for the energy: -2.555 eV/atom.

=====

# 11
# Na8La2Si5Sn2SO24

A relaxed structure of Na8La2Si5Sn2SO24 (PBE, the Materials Project database).

abc: 9.483 9.510 23.075
angles: 90.40 90.28 119.83
Positions (direct):
Na 0.000 0.000 0.000
Na 0.000 0.362 0.265
Na 0.004 0.358 0.761
Na 0.037 0.674 0.192
Na 0.043 0.052 0.673
Na 0.286 0.674 0.681
Na 0.312 0.328 0.180
Na 0.319 0.018 0.588
Na 0.325 0.649 0.346
Na 0.332 0.378 0.843
Na 0.361 0.035 0.094
Na 0.370 0.351 0.508
Na 0.381 0.726 0.001
Na 0.613 0.334 0.011
Na 0.630 0.979 0.502
Na 0.648 0.054 0.176
Na 0.654 0.686 0.922
Na 0.663 0.327 0.676
Na 0.666 0.685 0.426
Na 0.688 0.013 0.846
Na 0.700 0.379 0.345
Na 0.969 0.020 0.349
Na 0.974 0.657 0.839
Na 0.998 0.724 0.508
La 0.328 0.017 0.750
La 0.336 0.022 0.932
La 0.339 0.020 0.255
La 0.648 0.677 0.075
La 0.666 0.678 0.571
La 0.998 0.352 0.112
Si 0.005 0.009 0.841
Si 0.011 0.070 0.507
Si 0.024 0.711 0.345
Si 0.286 0.653 0.505
Si 0.293 0.346 0.007
Si 0.326 0.319 0.346
Si 0.332 0.694 0.842
Si 0.356 0.383 0.673
Si 0.366 0.686 0.182
Si 0.641 0.017 0.345
Si 0.655 0.336 0.843
Si 0.665 0.388 0.180
Si 0.700 0.052 0.007
Si 0.704 0.336 0.507
Si 0.964 0.674 0.674
Sn 0.012 0.367 0.605
Sn 0.331 0.017 0.443
Sn 0.652 0.670 0.285
Sn 0.660 0.666 0.775
Sn 0.998 0.340 0.906
Sn 0.999 0.351 0.409
S 0.001 0.650 0.005
S 0.675 0.990 0.677
S 0.959 0.977 0.181
O 0.011 0.576 0.060
O 0.035 0.180 0.568
O 0.074 0.962 0.898
O 0.119 0.844 0.399
O 0.123 0.995 0.183
O 0.125 0.771 0.286
O 0.129 0.056 0.786
O 0.148 0.812 0.003
O 0.150 0.825 0.681
O 0.170 0.348 0.354
O 0.170 0.511 0.850
O 0.174 0.374 0.671
O 0.180 0.575 0.566
O 0.181 0.058 0.504
O 0.191 0.362 0.952
O 0.192 0.516 0.185
O 0.195 0.534 0.450
O 0.204 0.337 0.068
O 0.285 0.220 0.285
O 0.288 0.770 0.787
O 0.293 0.832 0.502
O 0.304 0.179 0.005
O 0.335 0.202 0.679
O 0.339 0.843 0.182
O 0.364 0.223 0.399
O 0.375 0.809 0.900
O 0.451 0.504 0.730
O 0.459 0.459 0.615
O 0.462 0.707 0.121
O 0.469 0.681 0.507
O 0.474 0.507 0.001
O 0.474 0.676 0.238
O 0.496 0.501 0.344
O 0.496 0.678 0.833
O 0.497 0.211 0.180
O 0.506 0.978 0.398
O 0.515 0.026 0.005
O 0.523 0.167 0.503
O 0.533 0.016 0.680
O 0.537 0.264 0.899
O 0.584 0.061 0.285
O 0.584 0.217 0.787
O 0.654 0.897 0.623
O 0.657 0.849 0.341
O 0.660 0.469 0.118
O 0.670 0.516 0.835
O 0.680 0.494 0.507
O 0.682 0.508 0.236
O 0.686 0.901 0.728
O 0.699 0.879 0.002
O 0.775 0.146 0.069
O 0.790 0.311 0.567
O 0.812 0.161 0.952
O 0.818 0.363 0.451
O 0.823 0.851 0.828
O 0.825 0.175 0.354
O 0.829 0.371 0.186
O 0.830 0.151 0.676
O 0.842 0.369 0.852
O 0.842 0.700 0.341
O 0.843 0.648 0.731
O 0.851 0.890 0.508
O 0.853 0.665 0.003
O 0.859 0.884 0.232
O 0.884 0.893 0.125
O 0.895 0.715 0.616
O 0.963 0.497 0.670
O 0.970 0.138 0.183
O 0.983 0.171 0.847
O 0.988 0.158 0.451
O 0.993 0.548 0.954
O 0.997 0.526 0.353

Summary:
The calculation puts the formation enthalpy at 0 K at -2.7036 eV/atom. The volume comes out at 1805.2 Å³ per cell. As for the energy: -6.561 eV/atom.